(1)
## Li5NCl2 (PBE)

Data for a relaxed structure of Li5NCl2.

* symmetry: No. 10
* formation energy: -1225.5 meV per atom

Cell lengths 3.659, 6.759, 9.249 Å; angles 85.11, 90.00, 90.00 degrees
Fractional coordinates of all 16 atoms:
Li 0.500 0.531 0.270
N 0.000 0.336 0.667
Cl 0.500 0.500 0.000
Cl 0.000 0.000 0.000
Li 0.000 0.961 0.253
Li 0.000 0.372 0.436
Li 0.500 0.786 0.402
Li 0.000 0.675 0.107
N 0.000 0.664 0.333
Cl 0.500 0.834 0.661
Li 0.000 0.039 0.747
Cl 0.500 0.166 0.339
Li 0.500 0.469 0.730
Li 0.500 0.214 0.598
Li 0.000 0.628 0.564
Li 0.000 0.325 0.893

=====

(2)
## Fe3Pd (PBE)

Data for a relaxed structure of Fe3Pd.

* symmetry: No. 65
* formation energy: 50.7 meV per atom

Cell lengths 2.581, 2.581, 8.226 Å; angles 90.00, 90.00, 109.03 degrees
Fractional coordinates of all 4 atoms:
Fe 0.000 0.000 0.500
Fe 0.500 0.500 0.263
Pd 0.000 0.000 0.000
Fe 0.500 0.500 0.737

=====

(3)
## Sr2LiScB4O10 (PBE)

Data for a relaxed structure of Sr2LiScB4O10.

* symmetry: No. 14
* formation energy: -3179.3 meV per atom

Cell lengths 5.273, 12.759, 13.935 Å; angles 62.43, 90.00, 90.00 degrees
Fractional coordinates of all 72 atoms:
Sr 0.117 0.331 0.851
O 0.288 0.141 0.226
O 0.640 0.128 0.439
B 0.139 0.604 0.794
B 0.361 0.604 0.294
O 0.212 0.141 0.726
B 0.559 0.856 0.228
O 0.712 0.859 0.774
Sr 0.933 0.972 0.876
O 0.627 0.363 0.185
O 0.091 0.573 0.716
O 0.631 0.341 0.512
O 0.503 0.857 0.961
Sc 0.569 0.248 0.117
B 0.861 0.396 0.206
O 0.685 0.623 0.994
O 0.369 0.659 0.488
O 0.661 0.127 0.729
Li 0.397 0.522 0.100
O 0.869 0.341 0.012
O 0.373 0.637 0.815
B 0.420 0.372 0.551
Li 0.103 0.522 0.600
O 0.573 0.601 0.361
Sr 0.567 0.972 0.376
B 0.109 0.857 0.551
O 0.430 0.158 0.866
Li 0.603 0.478 0.900
Sr 0.883 0.669 0.149
B 0.891 0.143 0.449
O 0.591 0.427 0.784
B 0.059 0.144 0.272
O 0.927 0.601 0.861
O 0.360 0.872 0.561
B 0.580 0.628 0.449
B 0.639 0.396 0.706
O 0.073 0.399 0.139
O 0.570 0.842 0.134
O 0.185 0.377 0.506
O 0.003 0.143 0.539
O 0.131 0.659 0.988
O 0.860 0.128 0.939
O 0.839 0.127 0.229
O 0.427 0.399 0.639
O 0.140 0.872 0.061
O 0.497 0.143 0.039
B 0.080 0.372 0.051
Sc 0.931 0.248 0.617
Sr 0.383 0.331 0.351
Sr 0.433 0.028 0.624
O 0.339 0.873 0.271
Li 0.897 0.478 0.400
B 0.920 0.628 0.949
Sr 0.617 0.669 0.649
B 0.391 0.857 0.051
O 0.788 0.859 0.274
O 0.909 0.427 0.284
O 0.161 0.873 0.771
Sc 0.069 0.752 0.383
O 0.127 0.637 0.315
O 0.815 0.623 0.494
B 0.941 0.856 0.728
B 0.609 0.143 0.949
O 0.997 0.857 0.461
O 0.409 0.573 0.216
B 0.441 0.144 0.772
O 0.070 0.158 0.366
Sc 0.431 0.752 0.883
O 0.315 0.377 0.006
Sr 0.067 0.028 0.124
O 0.873 0.363 0.685
O 0.930 0.842 0.634

=====

(4)
## SrRuO3 (PBE)

Data for a relaxed structure of SrRuO3.

* symmetry: No. 221
* formation energy: -2149.9 meV per atom

Cell lengths 3.987, 3.987, 3.987 Å; angles 90.00, 90.00, 90.00 degrees
Fractional coordinates of all 5 atoms:
O 0.500 0.000 0.000
Sr 0.500 0.500 0.500
Ru 0.000 0.000 0.000
O 0.000 0.500 0.000
O 0.000 0.000 0.500

=====

Question: Which value of formation energy does entry 1 give?
Answer: -1225.5 meV per atom